# 1
Material: VFeTe
Method: DFT, GGA-PBE
State: optimized geometry

```
VFeTe
1.0
5.833 0.000 0.000
0.000 5.833 0.000
0.000 0.000 5.833
V Fe Te
4 4 4
direct
0.000 0.000 0.000
0.000 0.500 0.500
0.500 0.000 0.500
0.500 0.500 0.000
0.250 0.250 0.250
0.250 0.750 0.750
0.750 0.250 0.750
0.750 0.750 0.250
0.000 0.000 0.500
0.000 0.500 0.000
0.500 0.000 0.000
0.500 0.500 0.500
```

energy of formation	-0.218	eV per atom
total magnetization	1.0	μB/f.u.
raw total energy	-83.72	eV/cell



# 2
Material: Y5Fe2Te2
Method: DFT, GGA-PBE
State: optimized geometry

```
Y5Fe2Te2
1.0
1.981 -7.573 0.000
1.981 7.573 0.000
0.000 0.000 15.250
Y Fe Te
10 4 4
direct
0.038 0.962 0.619
0.038 0.962 0.881
0.257 0.743 0.129
0.257 0.743 0.371
0.397 0.603 0.750
0.603 0.397 0.250
0.743 0.257 0.629
0.743 0.257 0.871
0.962 0.038 0.119
0.962 0.038 0.381
0.170 0.830 0.750
0.406 0.594 0.250
0.594 0.406 0.750
0.830 0.170 0.250
0.382 0.618 0.540
0.382 0.618 0.960
0.618 0.382 0.040
0.618 0.382 0.460
```

energy of formation	-0.749	eV per atom
raw total energy	-122.90	eV/cell



# 3
Material: Zr6FeTe2
Method: DFT, GGA-PBE
State: optimized geometry

```
Zr6FeTe2
1.0
7.848 0.000 0.000
-3.924 6.796 0.000
0.000 0.000 3.604
Zr Fe Te
6 1 2
direct
0.000 0.240 0.000
0.000 0.598 0.500
0.240 0.000 0.000
0.402 0.402 0.500
0.598 0.000 0.500
0.760 0.760 0.000
0.000 0.000 0.500
0.333 0.667 0.000
0.667 0.333 0.000
```

energy of formation	-0.623	eV per atom
raw total energy	-70.80	eV/cell



# 4
Material: ThFe3
Method: DFT, GGA-PBE
State: optimized geometry

```
ThFe3
1.0
2.571 1.485 8.327
-2.571 1.485 8.327
0.000 -2.969 8.327
Th Fe
3 9
direct
0.000 0.000 0.000
0.141 0.141 0.141
0.859 0.859 0.859
0.083 0.580 0.580
0.333 0.333 0.333
0.420 0.420 0.917
0.420 0.917 0.420
0.500 0.500 0.500
0.580 0.083 0.580
0.580 0.580 0.083
0.667 0.667 0.667
0.917 0.420 0.420
```

energy of formation	-0.058	eV per atom
total magnetization	5.7	μB/f.u.
raw total energy	-99.17	eV/cell



# 5
Material: ThFe2
Method: DFT, GGA-PBE
State: optimized geometry

```
ThFe2
1.0
3.544 0.000 0.000
0.000 3.544 0.000
0.000 0.000 9.203
Th Fe
2 4
direct
0.000 0.000 0.000
0.500 0.500 0.500
0.000 0.500 0.250
0.000 0.500 0.750
0.500 0.000 0.250
0.500 0.000 0.750
```

energy of formation	0.306	eV per atom
total magnetization	3.9	μB/f.u.
raw total energy	-46.87	eV/cell



# 6
Material: Th2Fe17
Method: DFT, GGA-PBE
State: optimized geometry

```
Th2Fe17
1.0
4.258 2.458 4.185
-4.258 2.458 4.185
0.000 -4.916 4.185
Th Fe
2 17
direct
0.159 0.159 0.159
0.841 0.841 0.841
0.000 0.500 0.500
0.158 0.158 0.656
0.158 0.656 0.158
0.210 0.500 0.790
0.210 0.790 0.500
0.344 0.842 0.842
0.404 0.404 0.404
0.500 0.000 0.500
0.500 0.210 0.790
0.500 0.500 0.000
0.500 0.790 0.210
0.596 0.596 0.596
0.656 0.158 0.158
0.790 0.210 0.500
0.790 0.500 0.210
0.842 0.344 0.842
0.842 0.842 0.344
```

energy of formation	-0.018	eV per atom
raw total energy	-159.16	eV/cell



# 7
Material: YThFe6
Method: DFT, GGA-PBE
State: optimized geometry

```
YThFe6
1.0
2.559 1.478 16.459
-2.559 1.478 16.459
0.000 -2.955 16.459
Y Th Fe
3 3 18
direct
0.000 0.000 0.000
0.069 0.069 0.069
0.570 0.570 0.570
0.140 0.140 0.140
0.500 0.500 0.500
0.641 0.641 0.641
0.029 0.029 0.532
0.029 0.532 0.029
0.031 0.529 0.529
0.108 0.611 0.611
0.111 0.111 0.610
0.111 0.610 0.111
0.237 0.237 0.237
0.321 0.321 0.321
0.404 0.404 0.404
0.529 0.031 0.529
0.529 0.529 0.031
0.532 0.029 0.029
0.610 0.111 0.111
0.611 0.108 0.611
0.611 0.611 0.108
0.737 0.737 0.737
0.820 0.820 0.820
0.904 0.904 0.904
```

energy of formation	-0.067	eV per atom
raw total energy	-195.70	eV/cell



# 8
Material: TiFe
Method: DFT, GGA-PBE
State: optimized geometry

```
TiFe
1.0
2.960 0.000 0.000
0.000 2.960 0.000
0.000 0.000 2.960
Ti Fe
1 1
direct
0.000 0.000 0.000
0.500 0.500 0.500
```

energy of formation	-0.421	eV per atom
raw total energy	-17.21	eV/cell



# 9
Material: Ti3Fe
Method: DFT, GGA-PBE
State: optimized geometry

```
Ti3Fe
1.0
2.999 0.000 0.000
-1.499 2.597 0.000
0.000 0.000 8.042
Ti Fe
3 1
direct
0.000 0.000 0.000
0.667 0.333 0.285
0.667 0.333 0.715
0.000 0.000 0.500
```

energy of formation	0.041	eV per atom
total magnetization	0.0	μB/f.u.
raw total energy	-31.99	eV/cell



# 10
Material: TiFe
Method: DFT, GGA-PBE
State: optimized geometry

```
TiFe
1.0
3.150 0.000 0.000
0.000 4.407 0.000
0.000 0.000 3.841
Ti Fe
2 2
direct
0.000 0.000 0.000
0.500 0.500 0.000
0.000 0.500 0.500
0.500 0.000 0.500
```

energy of formation	-0.114	eV per atom
total magnetization	0.6	μB/f.u.
raw total energy	-33.19	eV/cell



# 11
Material: TmTiFe11
Method: DFT, GGA-PBE
State: optimized geometry

```
TmTiFe11
1.0
-2.337 4.205 4.249
2.337 -4.205 4.249
2.337 4.205 -4.249
Tm Ti Fe
1 1 11
direct
0.000 0.000 0.000
0.625 0.625 0.000
0.210 0.493 0.717
0.222 0.722 0.500
0.346 0.346 0.000
0.349 0.994 0.356
0.494 0.495 0.498
0.494 0.996 0.999
0.638 0.994 0.644
0.770 0.270 0.500
0.776 0.493 0.283
0.996 0.495 0.001
0.996 0.996 0.502
```

energy of formation	-0.085	eV per atom
total magnetization	21.0	μB/f.u.
raw total energy	-106.65	eV/cell



# 12
Material: TiVFe
Method: DFT, GGA-PBE
State: optimized geometry

```
TiVFe
1.0
7.577 0.000 0.000
0.000 2.489 4.323
0.000 -2.489 4.323
Ti V Fe
4 4 4
direct
0.000 0.000 0.000
0.000 0.495 0.998
0.000 0.998 0.495
0.500 0.669 0.669
0.204 0.492 0.492
0.324 0.170 0.170
0.676 0.170 0.170
0.796 0.492 0.492
0.255 0.842 0.842
0.500 0.180 0.670
0.500 0.670 0.180
0.745 0.842 0.842
```

energy of formation	0.081	eV per atom
total magnetization	0.8	μB/f.u.
raw total energy	-100.83	eV/cell